First-principles (PBE+U) data for KCoH3C3O6 after structural relaxation, as listed in the Materials Project database.

abc: 7.245 7.245 8.394
angles: 90.00 90.00 120.00
Sites, in units of the cell vectors:
K (0.000, 0.000, 0.250)
K (0.000, 0.000, 0.750)
Co (0.333, 0.667, 0.250)
Co (0.667, 0.333, 0.750)
H (0.000, 0.413, 0.000)
H (0.000, 0.587, 0.500)
H (0.413, 0.000, 0.000)
H (0.413, 0.413, 0.500)
H (0.587, 0.000, 0.500)
H (0.587, 0.587, 0.000)
C (0.000, 0.435, 0.500)
C (0.000, 0.565, 0.000)
C (0.435, 0.000, 0.500)
C (0.435, 0.435, 0.000)
C (0.565, 0.000, 0.000)
C (0.565, 0.565, 0.500)
O (0.107, 0.407, 0.392)
O (0.107, 0.700, 0.108)
O (0.300, 0.407, 0.108)
O (0.300, 0.893, 0.392)
O (0.407, 0.107, 0.608)
O (0.407, 0.300, 0.892)
O (0.593, 0.700, 0.392)
O (0.593, 0.893, 0.108)
O (0.700, 0.107, 0.892)
O (0.700, 0.593, 0.608)
O (0.893, 0.300, 0.608)
O (0.893, 0.593, 0.892)

Results
- Energy relative to the elements: -1369 meV/atom
- Calculated volume: 13.6 Å³/atom
- DFT total energy: -89.18 eV/f.u.
- Total magnetic moment: 6.03 μB/cell
- Energy relative to the lowest polymorph listed for this composition: 0.0 meV/atom